1.
HfUN2 | the Materials Project | r²SCAN | relaxed; total DFT energy (no corrections) = -37.7122 eV per atom; space group = R-3m, No. 166; DFT formation energy = -1.8744 eV/atom; M_tot = 0.5370 μB/atom
1.0
5.811 -1.618 0.024
5.811 1.618 0.024
5.350 0.000 2.788
N Hf U
2 1 1
direct
0.738 0.738 0.738
0.262 0.262 0.262
0.000 0.000 0.000
0.500 0.500 0.500



2.
TlHgF3 | the Materials Project | r²SCAN | relaxed; total DFT energy (no corrections) = -24.0852 eV per atom; space group = Pbam, No. 55; DFT formation energy = -1.7002 eV/atom; M_tot = 0.0000 μB/atom
1.0
-0.390 -5.865 1.974
7.627 -1.866 -4.035
6.534 3.221 10.862
F Hg Tl
24 8 8
direct
0.500 0.201 0.500
0.537 0.697 0.237
0.037 0.303 0.263
0.037 0.697 0.263
0.807 0.500 0.417
0.789 0.000 0.330
0.500 0.812 0.000
0.307 0.500 0.083
0.463 0.303 0.763
0.000 0.799 0.000
0.000 0.201 0.000
0.211 0.000 0.670
0.711 0.000 0.830
0.963 0.303 0.737
0.963 0.697 0.737
0.537 0.303 0.237
0.193 0.500 0.583
0.693 0.500 0.917
0.000 0.188 0.500
0.500 0.188 0.000
0.289 0.000 0.170
0.000 0.812 0.500
0.463 0.697 0.763
0.500 0.799 0.500
0.251 0.750 0.126
0.251 0.250 0.126
0.751 0.750 0.374
0.749 0.750 0.874
0.249 0.250 0.626
0.751 0.250 0.374
0.749 0.250 0.874
0.249 0.750 0.626
0.250 0.500 0.873
0.240 0.000 0.381
0.250 0.500 0.373
0.260 0.000 0.881
0.750 0.500 0.127
0.750 0.500 0.627
0.760 0.000 0.619
0.740 0.000 0.119



3.
K2TeCl6 | the Materials Project | r²SCAN | relaxed; total DFT energy (no corrections) = -9.6200 eV per atom; space group = Fm-3m, No. 225; DFT formation energy = -1.3568 eV/atom; M_tot = 0.0000 μB/atom
1.0
-3.602 -6.198 -0.231
5.714 -3.213 -2.911
0.651 3.540 6.208
Cl K Te
6 2 1
direct
0.750 0.750 0.500
0.251 0.749 0.000
0.251 0.251 0.000
0.749 0.749 0.000
0.749 0.251 0.000
0.250 0.250 0.500
0.750 0.250 0.500
0.250 0.750 0.500
0.000 0.000 0.000



4.
DySnRu2 | the Materials Project | r²SCAN | relaxed; total DFT energy (no corrections) = -27.2788 eV per atom; space group = Fm-3m, No. 225; DFT formation energy = -0.3846 eV/atom; M_tot = 0.0001 μB/atom
1.0
0.000 3.281 3.281
3.281 0.000 3.281
3.281 3.281 0.000
Ru Dy Sn
2 1 1
direct
0.750 0.750 0.750
0.250 0.250 0.250
0.000 0.000 0.000
0.500 0.500 0.500